Material: Ce3CuSiS7
Method: DFT, GGA-PBE
State: relaxed

a = 10.208 Å, b = 10.208 Å, c = 5.782 Å
α = 90.00°, β = 90.00°, γ = 120.00°
Sites, in units of the cell vectors:
Ce 0.124 0.768 0.000
Ce 0.232 0.356 0.000
Ce 0.356 0.124 0.500
Ce 0.644 0.876 0.000
Ce 0.768 0.644 0.500
Ce 0.876 0.232 0.500
Cu 0.000 0.000 0.023
Cu 0.000 0.000 0.523
Si 0.333 0.667 0.414
Si 0.667 0.333 0.914
S 0.086 0.836 0.512
S 0.112 0.524 0.272
S 0.164 0.250 0.512
S 0.250 0.086 0.012
S 0.333 0.667 0.779
S 0.412 0.888 0.272
S 0.476 0.588 0.272
S 0.524 0.412 0.772
S 0.588 0.112 0.772
S 0.667 0.333 0.279
S 0.750 0.914 0.512
S 0.836 0.750 0.012
S 0.888 0.476 0.772
S 0.914 0.164 0.012

Total moment in μB per formula unit: 2.99
Volume in A^3/atom: 21.7
Energy of formation in eV per atom: -1.8072
Total energy after the MP2020 corrections in eV/atom: -6.50
Total energy in eV/atom: -6.20

=====

Material: Sr2PrSnO6
Method: DFT, GGA-PBE
State: relaxed

a = 8.633 Å, b = 8.633 Å, c = 8.633 Å
α = 90.00°, β = 90.00°, γ = 90.00°
Sites, in units of the cell vectors:
Sr 0.250 0.250 0.250
Sr 0.250 0.250 0.750
Sr 0.250 0.750 0.250
Sr 0.250 0.750 0.750
Sr 0.750 0.250 0.250
Sr 0.750 0.250 0.750
Sr 0.750 0.750 0.250
Sr 0.750 0.750 0.750
Pr 0.000 0.000 0.000
Pr 0.000 0.500 0.500
Pr 0.500 0.000 0.500
Pr 0.500 0.500 0.000
Sn 0.000 0.000 0.500
Sn 0.000 0.500 0.000
Sn 0.500 0.000 0.000
Sn 0.500 0.500 0.500
O 0.038 0.546 0.766
O 0.038 0.954 0.734
O 0.046 0.234 0.538
O 0.046 0.266 0.962
O 0.234 0.538 0.046
O 0.234 0.962 0.454
O 0.266 0.538 0.454
O 0.266 0.962 0.046
O 0.454 0.234 0.962
O 0.454 0.266 0.538
O 0.462 0.546 0.734
O 0.462 0.954 0.766
O 0.538 0.046 0.234
O 0.538 0.454 0.266
O 0.546 0.734 0.462
O 0.546 0.766 0.038
O 0.734 0.038 0.954
O 0.734 0.462 0.546
O 0.766 0.038 0.546
O 0.766 0.462 0.954
O 0.954 0.734 0.038
O 0.954 0.766 0.462
O 0.962 0.046 0.266
O 0.962 0.454 0.234

Total moment in μB per formula unit: 1.00
Volume in A^3/atom: 16.1
Energy of formation in eV per atom: -2.7922
Total energy after the MP2020 corrections in eV/atom: -6.98
Total energy in eV/atom: -6.57
Energy relative to the lowest polymorph listed for this composition in meV per atom: 0.0

=====

Material: CrPd
Method: DFT, GGA-PBE
State: relaxed

a = 4.647 Å, b = 4.647 Å, c = 4.647 Å
α = 33.50°, β = 33.50°, γ = 33.50°
Sites, in units of the cell vectors:
Cr 0.000 0.000 0.000
Pd 0.500 0.500 0.500

Total moment in μB per formula unit: 0.81
Volume in A^3/atom: 13.6
Energy of formation in eV per atom: 0.2640
Total energy in eV/atom: -7.15

=====

Material: LiDy2Tc
Method: DFT, GGA-PBE
State: relaxed

a = 4.930 Å, b = 4.930 Å, c = 4.930 Å
α = 60.00°, β = 60.00°, γ = 60.00°
Sites, in units of the cell vectors:
Li 0.000 0.000 0.000
Dy 0.250 0.250 0.250
Dy 0.750 0.750 0.750
Tc 0.500 0.500 0.500

Total moment in μB per formula unit: 0.00
Volume in A^3/atom: 21.2
Energy of formation in eV per atom: -0.0371
Total energy in eV/atom: -5.41

=====

Material: RbHfMg14
Method: DFT, GGA-PBE
State: relaxed

a = 10.434 Å, b = 6.564 Å, c = 6.564 Å
α = 61.21°, β = 90.00°, γ = 90.00°
Sites, in units of the cell vectors:
Rb 0.000 0.000 0.000
Hf 0.000 0.486 0.486
Mg 0.000 0.501 0.998
Mg 0.000 0.998 0.501
Mg 0.244 0.662 0.662
Mg 0.259 0.178 0.650
Mg 0.259 0.650 0.178
Mg 0.264 0.173 0.173
Mg 0.500 0.499 0.499
Mg 0.500 0.501 0.994
Mg 0.500 0.994 0.501
Mg 0.500 0.997 0.997
Mg 0.736 0.173 0.173
Mg 0.741 0.178 0.650
Mg 0.741 0.650 0.178
Mg 0.756 0.662 0.662

Total moment in μB per formula unit: 0.00
Volume in A^3/atom: 24.6
Energy of formation in eV per atom: 0.2054
Total energy in eV/atom: -1.88
Energy relative to the lowest polymorph listed for this composition in meV per atom: 25.9

=====

Material: SrAl7Tl5Si5O24
Method: DFT, GGA-PBE
State: relaxed

a = 12.451 Å, b = 12.556 Å, c = 12.780 Å
α = 89.66°, β = 88.32°, γ = 89.82°
Sites, in units of the cell vectors:
Sr 0.000 0.000 0.000
Sr 0.243 0.215 0.192
Al 0.004 0.211 0.396
Al 0.174 0.218 0.607
Al 0.429 0.401 0.794
Al 0.432 0.024 0.802
Al 0.434 0.214 0.619
Al 0.605 0.220 0.160
Al 0.626 0.586 0.786
Al 0.628 0.220 0.413
Al 0.788 0.026 0.158
Al 0.806 0.405 0.401
Al 0.811 0.025 0.402
Al 0.812 0.838 0.607
Al 0.816 0.584 0.603
Al 0.979 0.216 0.158
Tl 0.044 0.478 0.054
Tl 0.047 0.472 0.436
Tl 0.382 0.255 0.391
Tl 0.654 0.363 0.911
Tl 0.659 0.356 0.641
Tl 0.660 0.073 0.635
Tl 0.667 0.079 0.925
Tl 0.852 0.770 0.362
Tl 0.924 0.342 0.645
Tl 0.937 0.072 0.606
Si 0.167 0.214 0.954
Si 0.174 0.027 0.784
Si 0.174 0.402 0.788
Si 0.423 0.209 0.976
Si 0.623 0.837 0.792
Si 0.795 0.404 0.156
Si 0.804 0.833 0.968
Si 0.810 0.590 0.972
Si 0.994 0.590 0.794
Si 0.994 0.835 0.788
O 0.042 0.713 0.791
O 0.068 0.215 0.266
O 0.087 0.229 0.503
O 0.088 0.927 0.807
O 0.090 0.207 0.060
O 0.093 0.505 0.805
O 0.136 0.106 0.889
O 0.140 0.330 0.689
O 0.147 0.326 0.896
O 0.148 0.096 0.681
O 0.287 0.203 0.004
O 0.294 0.988 0.803
O 0.295 0.444 0.791
O 0.306 0.219 0.566
O 0.440 0.313 0.903
O 0.455 0.097 0.920
O 0.462 0.102 0.693
O 0.466 0.334 0.679
O 0.478 0.222 0.090
O 0.513 0.213 0.501
O 0.528 0.923 0.809
O 0.529 0.492 0.820
O 0.568 0.223 0.291
O 0.581 0.717 0.792
O 0.677 0.103 0.120
O 0.690 0.334 0.126
O 0.690 0.341 0.446
O 0.697 0.551 0.670
O 0.699 0.866 0.689
O 0.703 0.855 0.896
O 0.706 0.109 0.441
O 0.716 0.566 0.894
O 0.793 0.455 0.271
O 0.794 0.966 0.279
O 0.807 0.713 0.018
O 0.814 0.506 0.070
O 0.817 0.925 0.055
O 0.821 0.712 0.553
O 0.822 0.924 0.499
O 0.851 0.495 0.499
O 0.909 0.335 0.133
O 0.910 0.101 0.130
O 0.920 0.851 0.899
O 0.923 0.563 0.695
O 0.925 0.326 0.396
O 0.927 0.862 0.686
O 0.929 0.576 0.910
O 0.936 0.091 0.412

Total moment in μB per formula unit: 0.00
Volume in A^3/atom: 23.8
Energy of formation in eV per atom: -2.8707
Total energy after the MP2020 corrections in eV/atom: -7.29
Total energy in eV/atom: -6.90
Energy relative to the lowest polymorph listed for this composition in meV per atom: 0.0

=====

Material: KGe2Se4
Method: DFT, GGA-PBE
State: relaxed

a = 7.859 Å, b = 12.568 Å, c = 17.789 Å
α = 90.00°, β = 95.65°, γ = 90.00°
Sites, in units of the cell vectors:
K 0.238 0.059 0.331
K 0.238 0.441 0.831
K 0.252 0.111 0.953
K 0.252 0.389 0.453
K 0.748 0.611 0.547
K 0.748 0.889 0.047
K 0.762 0.559 0.169
K 0.762 0.941 0.669
Ge 0.023 0.741 0.344
Ge 0.023 0.759 0.844
Ge 0.255 0.707 0.677
Ge 0.255 0.793 0.177
Ge 0.278 0.682 0.013
Ge 0.278 0.818 0.513
Ge 0.470 0.237 0.147
Ge 0.470 0.263 0.647
Ge 0.530 0.737 0.353
Ge 0.530 0.763 0.853
Ge 0.722 0.182 0.487
Ge 0.722 0.318 0.987
Ge 0.745 0.207 0.823
Ge 0.745 0.293 0.323
Ge 0.977 0.241 0.156
Ge 0.977 0.259 0.656
Se 0.022 0.161 0.787
Se 0.022 0.339 0.287
Se 0.034 0.603 0.945
Se 0.034 0.897 0.445
Se 0.241 0.114 0.145
Se 0.241 0.386 0.645
Se 0.253 0.630 0.550
Se 0.253 0.870 0.050
Se 0.294 0.607 0.140
Se 0.294 0.893 0.640
Se 0.296 0.620 0.344
Se 0.296 0.880 0.844
Se 0.439 0.152 0.532
Se 0.439 0.348 0.032
Se 0.492 0.131 0.750
Se 0.492 0.369 0.250
Se 0.508 0.631 0.750
Se 0.508 0.869 0.250
Se 0.561 0.652 0.968
Se 0.561 0.848 0.468
Se 0.704 0.120 0.156
Se 0.704 0.380 0.656
Se 0.706 0.107 0.360
Se 0.706 0.393 0.860
Se 0.747 0.130 0.950
Se 0.747 0.370 0.450
Se 0.759 0.614 0.355
Se 0.759 0.886 0.855
Se 0.966 0.103 0.555
Se 0.966 0.397 0.055
Se 0.978 0.661 0.713
Se 0.978 0.839 0.213

Total moment in μB per formula unit: 0.00
Volume in A^3/atom: 31.2
Energy of formation in eV per atom: -0.7542
Total energy after the MP2020 corrections in eV/atom: -4.23
Total energy in eV/atom: -3.96

=====

Material: YInCu
Method: DFT, GGA-PBE
State: relaxed

a = 7.510 Å, b = 7.510 Å, c = 3.915 Å
α = 90.00°, β = 90.00°, γ = 120.00°
Sites, in units of the cell vectors:
Y 0.000 0.409 0.000
Y 0.409 0.000 0.000
Y 0.591 0.591 0.000
In 0.000 0.746 0.500
In 0.254 0.254 0.500
In 0.746 0.000 0.500
Cu 0.000 0.000 0.000
Cu 0.333 0.667 0.500
Cu 0.667 0.333 0.500

Volume in A^3/atom: 21.3
Energy of formation in eV per atom: -0.4266
Total energy in eV/atom: -4.87

=====

Material: RbMg14Ga
Method: DFT, GGA-PBE
State: relaxed

a = 10.621 Å, b = 6.524 Å, c = 6.524 Å
α = 60.57°, β = 90.00°, γ = 90.00°
Sites, in units of the cell vectors:
Rb 0.000 0.000 0.000
Mg 0.000 0.009 0.495
Mg 0.000 0.495 0.009
Mg 0.240 0.661 0.661
Mg 0.262 0.173 0.651
Mg 0.262 0.651 0.173
Mg 0.268 0.170 0.170
Mg 0.500 0.497 0.497
Mg 0.500 0.499 0.993
Mg 0.500 0.993 0.499
Mg 0.500 0.995 0.995
Mg 0.732 0.170 0.170
Mg 0.738 0.173 0.651
Mg 0.738 0.651 0.173
Mg 0.760 0.661 0.661
Ga 0.000 0.479 0.479

Total moment in μB per formula unit: 0.00
Volume in A^3/atom: 24.6
Energy of formation in eV per atom: 0.1106
Total energy in eV/atom: -1.54
Energy relative to the lowest polymorph listed for this composition in meV per atom: 0.0

=====

Material: LaB2Ir2
Method: DFT, GGA-PBE
State: relaxed

a = 8.441 Å, b = 8.438 Å, c = 6.592 Å
α = 67.03°, β = 66.99°, γ = 45.98°
Sites, in units of the cell vectors:
La 0.000 0.000 0.000
La 0.000 0.000 0.500
La 0.000 0.500 0.000
La 0.500 0.000 0.000
B 0.264 0.272 0.346
B 0.272 0.264 0.619
B 0.346 0.619 0.264
B 0.381 0.654 0.728
B 0.619 0.346 0.272
B 0.654 0.381 0.736
B 0.728 0.736 0.381
B 0.736 0.728 0.654
Ir 0.056 0.631 0.406
Ir 0.369 0.944 0.593
Ir 0.406 0.407 0.056
Ir 0.407 0.406 0.631
Ir 0.593 0.594 0.369
Ir 0.594 0.593 0.944
Ir 0.631 0.056 0.407
Ir 0.944 0.369 0.594

Total moment in μB per formula unit: 0.00
Volume in A^3/atom: 15.3
Energy of formation in eV per atom: -0.3613
Total energy in eV/atom: -7.56

=====

Material: RuN2
Method: DFT, GGA-PBE
State: relaxed

a = 4.113 Å, b = 4.931 Å, c = 2.717 Å
α = 90.00°, β = 90.00°, γ = 90.00°
Sites, in units of the cell vectors:
Ru 0.000 0.000 0.000
Ru 0.500 0.500 0.500
N 0.121 0.409 0.000
N 0.379 0.909 0.500
N 0.621 0.091 0.500
N 0.879 0.591 0.000

Total moment in μB per formula unit: 0.00
Volume in A^3/atom: 9.2
Energy of formation in eV per atom: 0.1249
Total energy after the MP2020 corrections in eV/atom: -8.52
Total energy in eV/atom: -8.28

=====

Material: Er3Ru2
Method: DFT, GGA-PBE
State: relaxed

a = 8.230 Å, b = 8.230 Å, c = 8.230 Å
α = 109.47°, β = 109.47°, γ = 109.47°
Sites, in units of the cell vectors:
Er 0.125 0.750 0.875
Er 0.125 0.875 0.250
Er 0.250 0.125 0.875
Er 0.250 0.625 0.375
Er 0.375 0.250 0.625
Er 0.375 0.625 0.750
Er 0.625 0.375 0.250
Er 0.625 0.750 0.375
Er 0.750 0.375 0.625
Er 0.750 0.875 0.125
Er 0.875 0.125 0.750
Er 0.875 0.250 0.125
Ru 0.000 0.238 0.500
Ru 0.000 0.738 0.500
Ru 0.238 0.500 0.000
Ru 0.262 0.262 0.262
Ru 0.500 0.000 0.238
Ru 0.500 0.000 0.738
Ru 0.738 0.500 0.000
Ru 0.762 0.762 0.762

Total moment in μB per formula unit: 0.00
Volume in A^3/atom: 21.5
Energy of formation in eV per atom: 0.3521
Total energy in eV/atom: -6.10
Energy relative to the lowest polymorph listed for this composition in meV per atom: 662.5

=====

Material: Ce3Bi4Au3
Method: DFT, GGA-PBE
State: relaxed

a = 8.955 Å, b = 8.955 Å, c = 8.955 Å
α = 109.47°, β = 109.47°, γ = 109.47°
Sites, in units of the cell vectors:
Ce 0.125 0.875 0.250
Ce 0.250 0.125 0.875
Ce 0.375 0.625 0.750
Ce 0.625 0.750 0.375
Ce 0.750 0.375 0.625
Ce 0.875 0.250 0.125
Bi 0.000 0.181 0.500
Bi 0.000 0.681 0.500
Bi 0.181 0.500 0.000
Bi 0.319 0.319 0.319
Bi 0.500 0.000 0.181
Bi 0.500 0.000 0.681
Bi 0.681 0.500 0.000
Bi 0.819 0.819 0.819
Au 0.125 0.750 0.875
Au 0.250 0.625 0.375
Au 0.375 0.250 0.625
Au 0.625 0.375 0.250
Au 0.750 0.875 0.125
Au 0.875 0.125 0.750

Total moment in μB per formula unit: 2.96
Volume in A^3/atom: 27.6
Energy of formation in eV per atom: -0.6621
Total energy in eV/atom: -4.98